# 1
Compound: Li4Mn3Co5O16
Source: the Materials Project database
Functional: GGA+U
Structure: relaxed

Unit cell a=5.6942 b=5.6942 c=9.2310 alpha=90.16 beta=90.16 gamma=60.34
Sites, in units of the cell vectors:
Li (0.0000, 0.0000, 0.0000)
Li (0.0025, 0.0025, 0.5040)
Li (0.3261, 0.3261, 0.6046)
Li (0.6635, 0.6635, 0.1015)
Mn (0.1673, 0.6569, 0.2857)
Mn (0.6569, 0.1673, 0.2857)
Mn (0.8241, 0.8241, 0.7859)
Co (0.1674, 0.1674, 0.2850)
Co (0.3283, 0.3283, 0.0155)
Co (0.3326, 0.8250, 0.7896)
Co (0.6592, 0.6592, 0.5182)
Co (0.8250, 0.3326, 0.7896)
O (0.0388, 0.4730, 0.1565)
O (0.1612, 0.1612, 0.8936)
O (0.1655, 0.6629, 0.8979)
O (0.3278, 0.8281, 0.3992)
O (0.3313, 0.3313, 0.3931)
O (0.4730, 0.0388, 0.1565)
O (0.4762, 0.4762, 0.1567)
O (0.5124, 0.9501, 0.6596)
O (0.5148, 0.5148, 0.6628)
O (0.6602, 0.6602, 0.8927)
O (0.6629, 0.1655, 0.8979)
O (0.8281, 0.3278, 0.3992)
O (0.8319, 0.8319, 0.4000)
O (0.9501, 0.5124, 0.6596)
O (0.9947, 0.9947, 0.6918)
O (0.9973, 0.9973, 0.1885)

total energy after the MP2020 corrections: -7.038 eV/atom

***

# 2
Compound: Li4MnCo2O7
Source: the Materials Project database
Functional: GGA+U
Structure: relaxed

Unit cell a=2.9787 b=9.7436 c=9.7838 alpha=115.99 beta=92.69 gamma=97.08
Sites, in units of the cell vectors:
Li (0.0000, 0.0000, 0.0000)
Li (0.0392, 0.1310, 0.7951)
Li (0.1954, 0.4138, 0.3566)
Li (0.3309, 0.7110, 0.9359)
Li (0.4959, 0.9974, 0.4974)
Li (0.6148, 0.2657, 0.0691)
Li (0.7677, 0.5620, 0.6433)
Li (0.9188, 0.8509, 0.2171)
Mn (0.4059, 0.8534, 0.7262)
Mn (0.8255, 0.7007, 0.4272)
Co (0.1273, 0.2760, 0.5725)
Co (0.2704, 0.5611, 0.1406)
Co (0.5520, 0.1272, 0.2757)
Co (0.7006, 0.4198, 0.8589)
O (0.1135, 0.1998, 0.1898)
O (0.1809, 0.3615, 0.9671)
O (0.2249, 0.4800, 0.7474)
O (0.2626, 0.6419, 0.5397)
O (0.3938, 0.7645, 0.3185)
O (0.4552, 0.9389, 0.1291)
O (0.5144, 0.0501, 0.8817)
O (0.6043, 0.2172, 0.6816)
O (0.6452, 0.3274, 0.4563)
O (0.7054, 0.4984, 0.2457)
O (0.8335, 0.6262, 0.0341)
O (0.8868, 0.7865, 0.8127)
O (0.9132, 0.9041, 0.6153)
O (0.9929, 0.0736, 0.3983)

total energy after the MP2020 corrections: -6.502 eV/atom
distance to the lowest polymorph of the same formula: 1.654 kcal/mol of atoms

***

# 3
Compound: Li4MnCo2O7
Source: the Materials Project database
Functional: GGA+U
Structure: relaxed

Unit cell a=2.9365 b=6.5160 c=13.6113 alpha=83.82 beta=84.77 gamma=77.10
Sites, in units of the cell vectors:
Li (0.0000, 0.0000, 0.0000)
Li (0.0000, 0.5000, 0.5000)
Li (0.1339, 0.4298, 0.2918)
Li (0.2889, 0.8398, 0.5726)
Li (0.4198, 0.2879, 0.8582)
Li (0.5802, 0.7121, 0.1418)
Li (0.7111, 0.1602, 0.4274)
Li (0.8661, 0.5702, 0.7082)
Mn (0.4287, 0.7744, 0.3610)
Mn (0.5713, 0.2256, 0.6390)
Co (0.1440, 0.9211, 0.7845)
Co (0.2858, 0.3621, 0.0719)
Co (0.7142, 0.6379, 0.9281)
Co (0.8560, 0.0789, 0.2155)
O (0.0208, 0.2378, 0.7386)
O (0.1349, 0.1796, 0.5490)
O (0.1527, 0.6658, 0.0343)
O (0.2694, 0.6143, 0.8270)
O (0.2821, 0.0912, 0.3163)
O (0.4359, 0.0509, 0.1115)
O (0.4382, 0.5134, 0.6114)
O (0.5618, 0.4866, 0.3886)
O (0.5641, 0.9491, 0.8885)
O (0.7179, 0.9088, 0.6837)
O (0.7306, 0.3857, 0.1730)
O (0.8473, 0.3342, 0.9657)
O (0.8651, 0.8204, 0.4510)
O (0.9792, 0.7622, 0.2614)

total energy after the MP2020 corrections: -6.555 eV/atom
distance to the lowest polymorph of the same formula: 0.426 kcal/mol of atoms

***

| no. | DFT formation energy (kJ per mole of atoms) |
| --- | --- |
| 1 | -162.77 |
| 2 | -174.85 |
| 3 | -179.99 |